1.
## Li2VFe2O6 (GGA+U)

Data for Li2VFe2O6 after structural relaxation.

The structure in POSCAR format:
```
Li2VFe2O6
1.0
6.363 -4.389 0.000
6.363 4.389 0.000
-1.614 0.000 5.728
Li V Fe O
6 3 6 18
Cartesian
3.120 1.446 3.850
6.363 2.895 0.000
3.120 -1.446 3.850
7.991 1.446 1.877
6.363 -2.895 0.000
7.991 -1.446 1.877
5.555 2.956 2.864
5.555 0.000 2.864
5.555 -2.956 2.864
0.768 0.000 4.822
3.977 1.449 0.937
3.977 -1.449 0.937
7.134 1.449 4.790
7.134 -1.449 4.790
10.343 0.000 0.905
2.122 1.503 0.352
-1.093 0.000 4.219
3.727 2.897 2.237
2.595 0.000 5.377
5.861 1.510 1.562
7.384 2.897 3.491
5.250 1.510 4.166
2.122 -1.503 0.352
3.741 0.000 2.358
7.369 0.000 3.369
8.989 1.503 5.376
5.861 -1.510 1.562
3.727 -2.897 2.237
5.250 -1.510 4.166
8.516 0.000 0.351
7.384 -2.897 3.491
12.203 0.000 1.509
8.989 -1.503 5.376
```

Properties
- Total magnetization: 33.00 Bohr magnetons per cell
- Formation energy: -2124 kJ/mol of formula units
- SG: C2/m (12)



2.
## ZnCoSiO5 (GGA+U)

Data for ZnCoSiO5 after structural relaxation.

The structure in POSCAR format:
```
ZnCoSiO5
1.0
5.370 0.000 0.000
-0.910 5.373 0.000
-2.036 -2.327 6.112
Zn Co Si O
2 2 2 10
Cartesian
0.364 1.314 1.601
2.060 1.732 4.511
2.685 0.000 0.000
1.667 -1.164 3.056
-0.972 0.183 4.591
3.396 2.863 1.521
-0.594 3.050 2.314
-1.379 1.699 5.252
-0.720 -0.946 5.750
0.306 0.304 3.567
1.656 -0.189 1.495
0.768 3.235 4.617
2.118 2.742 2.545
3.144 3.992 0.362
3.803 1.346 0.860
3.018 -0.004 3.799
```

Properties
- Total magnetization: 2.00 Bohr magnetons per cell
- Formation energy: -1508 kJ/mol of formula units
- SG: P-1 (2)



3.
## Ba4NaMn2O9 (GGA+U)

Data for Ba4NaMn2O9 after structural relaxation.

The structure in POSCAR format:
```
Ba4NaMn2O9
1.0
10.175 0.000 0.000
-5.088 8.812 0.000
0.000 0.000 8.406
Ba Na Mn O
12 3 6 27
Cartesian
-1.661 2.877 0.000
-1.797 3.113 4.203
-3.266 6.052 2.064
1.479 2.958 2.064
3.322 0.000 0.000
1.822 2.760 6.342
3.595 0.000 4.203
3.290 5.699 4.203
1.787 8.614 2.064
3.427 5.935 0.000
6.874 0.198 6.342
6.567 5.854 6.342
0.000 0.000 4.203
0.000 5.875 6.254
5.088 2.937 2.153
0.000 0.000 1.343
0.000 0.000 7.063
0.000 5.875 0.716
0.000 5.875 3.399
5.088 2.937 5.007
5.088 2.937 7.690
-4.349 7.533 0.000
-0.747 1.446 6.045
0.739 1.279 0.000
-3.462 8.736 6.045
1.625 0.076 2.361
-0.838 4.618 2.054
-1.579 5.927 8.083
-1.601 5.980 4.436
0.709 4.436 4.436
0.744 4.481 8.083
-0.669 7.228 2.054
1.507 5.778 2.054
0.835 7.216 8.083
0.892 7.208 4.436
3.487 2.832 3.970
3.509 2.885 0.324
4.418 1.584 6.352
4.250 4.194 6.352
5.923 1.596 0.324
5.980 1.604 3.970
5.796 4.376 3.970
5.831 4.331 0.324
6.594 3.034 6.352
4.209 7.442 6.045
4.341 7.366 2.361
8.698 0.000 0.000
9.297 1.370 2.361
```

Properties
- Total magnetization: 15.00 Bohr magnetons per cell
- Formation energy: -3824 kJ/mol of formula units
- SG: P321 (150)



4.
## VPO7 (GGA+U)

Data for VPO7 after structural relaxation.

The structure in POSCAR format:
```
VPO7
1.0
7.533 0.000 0.000
0.000 7.487 0.000
-1.949 0.000 9.524
V P O
4 4 28
Cartesian
-0.361 1.123 2.087
-1.336 2.620 6.849
6.920 4.866 2.675
5.945 6.364 7.437
-0.063 1.180 9.312
0.911 2.563 4.550
4.673 4.924 4.973
5.647 6.306 0.211
-1.070 4.836 7.703
-0.096 6.394 2.941
0.140 1.366 3.835
-0.834 2.377 8.597
0.403 3.881 3.850
-0.571 7.349 8.611
1.238 1.088 1.243
0.263 2.655 6.004
1.811 4.499 1.419
0.836 6.731 6.181
2.736 3.817 1.857
1.761 7.413 6.619
1.390 1.400 9.346
2.365 2.343 4.584
3.219 5.143 4.940
4.194 6.087 0.178
3.823 0.074 2.905
2.848 3.669 7.667
4.748 0.755 3.343
3.773 2.988 8.105
5.321 4.832 3.519
4.346 6.398 8.281
6.155 0.138 0.912
5.181 3.605 5.674
6.418 5.109 0.926
5.444 6.121 5.688
5.680 1.093 6.582
6.654 2.650 1.820
```

Properties
- Total magnetization: 8.00 Bohr magnetons per cell
- Distance to the lowest polymorph of the same formula: 0.0000 eV per atom
- Formation energy: -1356 kJ/mol of formula units
- SG: P2_1/c (14)



5.
## LiV3OF11 (GGA+U)

Data for LiV3OF11 after structural relaxation.

The structure in POSCAR format:
```
LiV3OF11
1.0
5.511 0.000 0.000
-0.341 5.993 0.000
-1.608 -0.467 6.820
Li V O F
1 3 1 11
Cartesian
0.000 0.000 0.000
-0.521 1.453 4.140
0.982 3.378 2.150
2.068 2.230 6.362
0.552 2.245 5.373
-0.649 3.257 3.157
0.029 2.516 0.697
-0.543 -0.093 5.205
0.624 4.989 1.304
1.157 1.591 2.893
1.847 4.198 3.440
2.650 3.084 1.157
2.120 0.463 6.753
2.583 3.944 6.265
3.205 1.860 4.827
4.324 0.577 2.733
```

Properties
- Total magnetization: 1.00 Bohr magnetons per cell
- Distance to the lowest polymorph of the same formula: 0.0144 eV per atom
- Formation energy: -4577 kJ/mol of formula units
- SG: P1 (1)



6.
## V2CdP2O14 (GGA+U)

Data for V2CdP2O14 after structural relaxation.

The structure in POSCAR format:
```
V2CdP2O14
1.0
6.301 0.000 0.000
-0.002 6.349 0.000
-1.177 -0.215 6.969
V Cd P O
2 1 2 14
Cartesian
0.000 0.000 0.000
1.920 2.938 5.668
1.216 4.661 2.652
1.921 6.089 6.328
5.109 2.951 6.296
-0.025 4.348 0.334
0.083 1.880 0.203
0.009 -0.031 2.192
0.007 3.050 5.319
1.940 6.163 0.392
2.036 2.974 3.533
1.783 1.044 5.504
1.921 4.923 5.309
3.081 3.326 0.310
4.409 6.324 0.173
4.073 0.317 2.944
3.828 2.924 5.419
4.890 5.754 2.731
5.267 6.026 5.373
```

Properties
- Total magnetization: 0.00 Bohr magnetons per cell
- Formation energy: -2799 kJ/mol of formula units
- SG: P1 (1)



7.
## Li7Mn5O12 (GGA+U)

Data for Li7Mn5O12 after structural relaxation.

The structure in POSCAR format:
```
Li7Mn5O12
1.0
-5.425 -2.487 -0.783
-1.469 3.843 6.437
-4.412 6.626 -5.936
Mn O Li
10 24 14
Cartesian
-8.297 2.739 -0.528
-7.961 4.470 1.762
-11.273 7.963 -0.286
-5.084 -0.768 1.518
-5.621 3.972 -0.146
-4.606 0.900 3.766
-8.523 9.216 0.114
-3.367 3.535 -2.029
-2.306 0.479 1.903
-5.312 5.710 2.158
-5.798 3.866 1.827
-2.147 0.570 -0.107
-9.114 7.378 -0.231
-6.472 1.517 3.762
-4.609 -0.693 -0.445
-3.463 3.387 -0.091
-6.447 2.218 -0.389
-7.802 4.562 -0.248
-8.205 2.885 -2.452
-6.932 0.432 -2.779
-7.258 5.226 -4.400
-4.556 6.502 -3.968
-4.742 7.551 2.479
-7.156 6.910 -2.137
-3.075 5.078 2.177
-5.234 4.153 -2.034
-7.376 6.261 1.932
-3.954 1.715 -2.317
-4.018 2.737 4.126
-4.512 1.072 1.837
-6.673 8.696 0.254
-4.840 5.786 0.196
-9.605 5.706 -2.459
-1.722 2.270 2.073
-4.141 1.341 -0.320
-3.449 4.796 4.282
-1.546 2.704 0.092
-7.631 4.943 -2.296
-3.666 3.059 2.063
-9.794 5.333 -0.461
-4.704 6.121 -1.918
-7.197 6.695 -0.048
-6.095 2.302 -2.441
-1.908 2.156 4.137
-5.301 4.397 -4.132
-6.542 1.764 1.663
-7.851 3.206 -4.514
-5.942 3.485 3.877
```

Properties
- Total magnetization: 0.00 Bohr magnetons per cell
- Distance to the lowest polymorph of the same formula: 0.0142 eV per atom
- Formation energy: -4961 kJ/mol of formula units



8.
## Mn2Al3FeP3O21 (GGA+U)

Data for Mn2Al3FeP3O21 after structural relaxation.

The structure in POSCAR format:
```
Mn2Al3FeP3O21
1.0
3.489 -15.539 0.000
3.489 15.539 0.000
-0.040 0.000 13.036
Mn Al Fe P O
8 12 4 12 84
Cartesian
0.000 0.000 0.000
3.489 10.365 0.000
3.468 7.742 6.518
3.489 -0.055 0.000
3.468 -2.691 6.518
3.489 -5.182 0.000
3.489 -10.423 0.000
3.468 -13.062 6.518
3.459 11.581 3.233
3.478 11.581 9.803
3.433 6.429 3.361
3.504 6.429 9.675
3.459 1.245 3.175
3.478 1.245 9.861
3.457 -3.942 3.271
3.480 -3.942 9.765
3.440 -9.116 3.162
3.497 -9.116 9.874
3.442 -14.256 3.262
3.495 -14.256 9.774
3.468 12.922 6.518
3.489 5.136 0.000
3.468 2.562 6.518
3.468 -7.816 6.518
1.759 5.105 7.567
1.677 2.577 12.017
1.724 -0.062 5.449
1.723 -2.606 1.053
1.683 -5.256 7.563
1.737 -7.806 12.003
5.177 5.105 5.469
5.259 2.577 1.019
5.212 -0.062 7.587
5.213 -2.606 11.983
5.253 -5.256 5.474
5.200 -7.806 1.033
0.056 -0.027 11.124
3.044 12.889 11.183
1.718 6.453 0.099
1.767 6.787 10.055
1.676 6.064 3.570
1.749 6.385 6.634
0.402 0.004 4.648
3.383 12.847 4.584
3.554 12.847 8.452
3.024 10.293 4.603
1.655 3.890 12.900
1.750 3.801 6.706
3.892 12.889 1.853
3.376 10.302 11.140
3.560 10.302 1.896
2.994 7.691 1.925
1.702 1.583 2.865
1.661 1.309 12.955
1.779 1.197 6.395
1.749 0.907 9.457
3.913 10.293 8.433
3.458 7.624 4.857
3.479 7.624 8.180
3.045 5.100 8.408
1.698 -1.369 6.312
1.735 -1.304 0.184
3.942 7.691 11.111
3.438 5.265 1.926
3.499 5.265 11.110
2.995 2.565 11.217
1.736 -3.579 10.127
1.676 -3.992 6.618
1.749 -3.870 0.106
1.713 -4.346 3.569
3.892 5.100 4.628
3.408 2.445 4.580
2.960 -0.072 4.529
3.528 2.445 8.456
1.675 -6.569 6.674
1.687 -6.508 12.868
3.942 2.565 1.819
3.401 0.008 11.290
3.536 0.008 1.746
2.962 -2.623 1.960
5.170 6.787 2.981
5.188 6.385 6.402
5.219 6.453 12.937
5.261 6.064 9.466
3.977 -0.072 8.507
3.438 -2.736 8.285
3.499 -2.736 4.751
2.984 -5.246 8.394
5.187 3.801 6.330
5.282 3.890 0.136
3.974 -2.623 11.076
3.446 -5.131 11.269
3.491 -5.131 1.767
3.011 -7.804 11.155
5.158 1.197 6.641
5.234 1.583 10.171
5.275 1.309 0.081
5.187 0.907 3.579
3.952 -5.246 4.642
3.439 -7.947 4.596
3.498 -7.947 8.440
2.964 -10.426 4.576
5.201 -1.304 12.852
5.238 -1.369 6.724
3.925 -7.804 1.881
3.471 -10.309 1.660
3.465 -10.309 11.376
3.012 -12.971 1.913
5.201 -3.579 2.909
5.188 -3.870 12.930
5.261 -3.992 6.418
5.224 -4.346 9.467
3.370 -12.989 8.412
3.972 -10.426 8.460
3.566 -12.989 4.624
6.535 0.004 8.388
5.250 -6.508 0.169
5.261 -6.569 6.362
3.924 -12.971 11.123
6.881 -0.027 1.912
```

Properties
- Total magnetization: 63.50 Bohr magnetons per cell
- Formation energy: -5720 kJ/mol of formula units
- SG: C2 (5)



9.
## Li4V3Cr3Sb2O16 (GGA+U)

Data for Li4V3Cr3Sb2O16 after structural relaxation.

The structure in POSCAR format:
```
Li4V3Cr3Sb2O16
1.0
5.197 -2.995 0.000
5.197 2.995 0.000
-0.095 0.000 9.697
Li V Cr Sb O
4 3 3 2 16
Cartesian
0.000 0.000 0.000
10.346 0.000 4.846
3.369 0.000 8.820
6.888 0.000 4.003
4.301 1.441 2.178
4.301 -1.441 2.178
8.550 0.000 7.039
1.735 0.000 2.159
6.012 1.465 7.010
6.012 -1.465 7.010
3.409 0.000 4.834
6.830 0.000 9.668
-0.075 0.000 7.889
2.622 1.308 3.437
1.663 0.000 5.870
4.280 1.506 5.853
3.435 0.000 1.129
6.069 1.503 1.000
2.622 -1.308 3.437
4.967 0.000 3.468
7.599 1.335 8.287
5.309 0.000 8.256
6.872 0.000 5.996
4.280 -1.506 5.853
8.659 0.000 0.979
6.069 -1.503 1.000
7.599 -1.335 8.287
10.356 0.000 3.036
```

Properties
- Total magnetization: 15.00 Bohr magnetons per cell
- Formation energy: -6360 kJ/mol of formula units
- SG: Cm (8)



total magnetization of number 7 (Li7Mn5O12)? 0.00 Bohr magnetons per cell



Look up the total magnetization of the sixth one. 0.00 Bohr magnetons per cell